Entry 1:
VASP calculation (PBE with a Hubbard U) on an optimized crystal structure of Li7Sc9FeSi20O60.

Calculated values
* calculated volume: 1145.3 Å³/cell
* total energy after the MP2020 corrections: -8.22 eV per atom
* space group: P1
* mass density: 2.944 g cm⁻³
* DFT total energy: -0.5711 Ry per atom
* DFT formation energy: -3.227 eV per atom

```
Li7Sc9FeSi20O60
1.0
9.047 0.000 0.000
-4.523 10.218 0.000
-0.005 -3.568 12.389
Li Sc Fe Si O
7 9 1 20 60
direct
0.000 0.000 0.000 Li
0.001 0.000 0.501 Li
0.201 0.399 0.800 Li
0.395 0.798 0.099 Li
0.402 0.798 0.600 Li
0.601 0.199 0.399 Li
0.798 0.597 0.197 Li
0.157 0.595 0.201 Sc
0.251 0.201 0.900 Sc
0.361 0.002 0.998 Sc
0.450 0.597 0.701 Sc
0.563 0.399 0.800 Sc
0.647 0.997 0.498 Sc
0.759 0.793 0.602 Sc
0.848 0.398 0.300 Sc
0.963 0.203 0.397 Sc
0.050 0.798 0.099 Fe
0.029 0.728 0.432 Si
0.100 0.529 0.534 Si
0.102 0.872 0.769 Si
0.172 0.671 0.867 Si
0.224 0.121 0.231 Si
0.299 0.268 0.566 Si
0.302 0.926 0.330 Si
0.374 0.070 0.666 Si
0.429 0.529 0.034 Si
0.498 0.327 0.133 Si
0.507 0.672 0.367 Si
0.569 0.468 0.465 Si
0.634 0.924 0.832 Si
0.699 0.069 0.166 Si
0.706 0.725 0.935 Si
0.781 0.872 0.264 Si
0.829 0.325 0.630 Si
0.901 0.126 0.732 Si
0.901 0.476 0.968 Si
0.970 0.271 0.066 Si
0.015 0.533 0.876 O
0.021 0.389 0.182 O
0.032 0.410 0.418 O
0.076 0.161 0.269 O
0.081 0.665 0.521 O
0.091 0.184 0.779 O
0.103 0.214 0.019 O
0.110 0.213 0.520 O
0.124 0.737 0.779 O
0.165 0.990 0.887 O
0.169 0.001 0.114 O
0.187 0.862 0.419 O
0.217 0.934 0.679 O
0.222 0.787 0.987 O
0.235 0.810 0.212 O
0.280 0.063 0.323 O
0.289 0.584 0.581 O
0.297 0.587 0.079 O
0.309 0.619 0.824 O
0.321 0.131 0.576 O
0.324 0.640 0.323 O
0.359 0.386 0.684 O
0.372 0.412 0.916 O
0.383 0.255 0.220 O
0.413 0.331 0.477 O
0.422 0.189 0.782 O
0.431 0.209 0.017 O
0.477 0.463 0.122 O
0.484 0.958 0.876 O
0.492 0.979 0.374 O
0.507 0.013 0.620 O
0.509 0.009 0.120 O
0.523 0.534 0.375 O
0.568 0.788 0.485 O
0.577 0.807 0.714 O
0.590 0.666 0.026 O
0.619 0.586 0.581 O
0.629 0.733 0.278 O
0.633 0.608 0.819 O
0.681 0.363 0.672 O
0.688 0.384 0.179 O
0.695 0.866 0.922 O
0.704 0.413 0.420 O
0.714 0.436 0.928 O
0.725 0.934 0.176 O
0.759 0.186 0.283 O
0.775 0.208 0.512 O
0.787 0.062 0.821 O
0.812 0.134 0.077 O
0.835 0.987 0.382 O
0.841 0.009 0.615 O
0.881 0.262 0.720 O
0.897 0.783 0.982 O
0.897 0.785 0.478 O
0.913 0.813 0.216 O
0.916 0.833 0.728 O
0.926 0.342 0.980 O
0.966 0.595 0.085 O
0.971 0.610 0.314 O
0.987 0.462 0.623 O
```

=====

Entry 2:
VASP calculation (PBE with a Hubbard U) on an optimized crystal structure of VAgTeO5.

Calculated values
* calculated volume: 462.2 Å³/cell
* total energy after the MP2020 corrections: -6.62 eV per atom
* space group: P2_1/c
* mass density: 5.266 g cm⁻³
* DFT total energy: -0.4392 Ry per atom
* DFT formation energy: -1.643 eV per atom

```
VAgTeO5
1.0
5.948 0.000 0.000
0.000 11.543 0.000
-1.516 0.000 6.732
V Ag Te O
4 4 4 20
direct
0.179 0.121 0.412 V
0.179 0.379 0.912 V
0.821 0.621 0.088 V
0.821 0.879 0.588 V
0.302 0.709 0.810 Ag
0.302 0.791 0.310 Ag
0.698 0.209 0.690 Ag
0.698 0.291 0.190 Ag
0.259 0.061 0.903 Te
0.259 0.439 0.403 Te
0.741 0.561 0.597 Te
0.741 0.939 0.097 Te
0.031 0.703 0.032 O
0.031 0.797 0.532 O
0.061 0.016 0.220 O
0.061 0.484 0.720 O
0.335 0.048 0.642 O
0.335 0.452 0.142 O
0.364 0.208 0.325 O
0.364 0.292 0.825 O
0.376 0.592 0.487 O
0.376 0.908 0.987 O
0.624 0.092 0.013 O
0.624 0.408 0.513 O
0.636 0.708 0.175 O
0.636 0.792 0.675 O
0.665 0.548 0.858 O
0.665 0.952 0.358 O
0.939 0.516 0.280 O
0.939 0.984 0.780 O
0.969 0.203 0.468 O
0.969 0.297 0.968 O
```

=====

Entry 3:
VASP calculation (PBE with a Hubbard U) on an optimized crystal structure of P2WO8.

Calculated values
* calculated volume: 302.8 Å³/cell
* total energy after the MP2020 corrections: -8.10 eV per atom
* space group: P2_1/c
* mass density: 4.100 g cm⁻³
* DFT total energy: -0.5289 Ry per atom
* DFT formation energy: -2.339 eV per atom

```
P2WO8
1.0
5.245 0.000 0.000
0.000 7.207 0.000
-5.142 0.000 8.011
P W O
4 2 16
direct
0.203 0.166 0.208 P
0.203 0.334 0.708 P
0.797 0.666 0.292 P
0.797 0.834 0.792 P
0.500 0.000 0.000 W
0.500 0.500 0.500 W
0.154 0.665 0.421 O
0.154 0.835 0.921 O
0.283 0.133 0.789 O
0.283 0.367 0.289 O
0.312 0.013 0.328 O
0.312 0.487 0.828 O
0.331 0.166 0.090 O
0.331 0.334 0.590 O
0.669 0.666 0.410 O
0.669 0.834 0.910 O
0.688 0.513 0.172 O
0.688 0.987 0.672 O
0.717 0.633 0.711 O
0.717 0.867 0.211 O
0.846 0.165 0.079 O
0.846 0.335 0.579 O
```

=====

Look up the DFT total energy of the first one. -0.5711 Ry per atom

=====

Which value of DFT total energy does entry 3 give? -0.5289 Ry per atom

=====

What is the calculated volume in the second record? 462.2 Å³/cell

=====

Which of these has the highest DFT total energy? VAgTeO5